Density functional theory data (PBE) for an optimized crystal structure of NpN2.

Summary:
M_tot ... 0.3329 μB per atom
Final energy ... -64.22 eV for the cell shown
Formation energy from the elements ... -310 kJ/mol of formula units

Cell lengths 4.9073, 4.9073, 3.4799 Å; angles 90.00, 90.00, 90.00 degrees
Closest atoms and distances in Å follow each position.
Element x y z (fractional)
Np1 0.5000 0.5000 0.0000  6 N 2.15-2.21
Np2 0.0000 0.0000 0.5000  6 N 2.15-2.21
N1 0.8180 0.8180 0.0000  3 Np 2.15-2.21
N2 0.1820 0.1820 0.0000  3 Np 2.15-2.21
N3 0.6820 0.3180 0.5000  3 Np 2.15-2.21
N4 0.3180 0.6820 0.5000  3 Np 2.15-2.21

=====

Density functional theory data (PBE) for an optimized crystal structure of CeB2O4F.

Summary:
M_tot ... 0.1250 μB per atom
Final energy ... -515.11 eV for the cell shown
Formation energy from the elements ... -2567 kJ/mol of formula units

Cell lengths 7.3259, 8.3049, 12.7259 Å; angles 90.00, 90.00, 90.00 degrees
Closest atoms and distances in Å follow each position.
Element x y z (fractional)
Ce1 0.2476 0.6115 0.4750  1 F 2.35, 4 O 2.43-2.58
Ce2 0.7524 0.1115 0.0250  1 F 2.35, 4 O 2.43-2.58
Ce3 0.2524 0.3885 0.9750  1 F 2.35, 4 O 2.43-2.58
Ce4 0.7476 0.8885 0.5250  1 F 2.35, 4 O 2.43-2.58
Ce5 0.7524 0.3885 0.5250  1 F 2.35, 4 O 2.43-2.58
Ce6 0.2476 0.8885 0.9750  1 F 2.35, 4 O 2.43-2.58
Ce7 0.7476 0.6115 0.0250  1 F 2.35, 4 O 2.43-2.58
Ce8 0.2524 0.1115 0.4750  1 F 2.35, 4 O 2.43-2.58
B1 0.3459 0.6584 0.1720  3 O 1.34-1.42
B2 0.6541 0.1584 0.3280  3 O 1.34-1.42
B3 0.1541 0.3416 0.6720  3 O 1.34-1.42
B4 0.8459 0.8416 0.8280  3 O 1.34-1.42
B5 0.6541 0.3416 0.8280  3 O 1.34-1.42
B6 0.3459 0.8416 0.6720  3 O 1.34-1.42
B7 0.8459 0.6584 0.3280  3 O 1.34-1.42
B8 0.1541 0.1584 0.1720  3 O 1.34-1.42
B9 0.2610 0.9088 0.2714  3 O 1.34-1.41
B10 0.7390 0.4088 0.2286  3 O 1.34-1.41
B11 0.2390 0.0912 0.7714  3 O 1.34-1.41
B12 0.7610 0.5912 0.7286  3 O 1.34-1.41
B13 0.7390 0.0912 0.7286  3 O 1.34-1.41
B14 0.2610 0.5912 0.7714  3 O 1.34-1.41
B15 0.7610 0.9088 0.2286  3 O 1.34-1.41
B16 0.2390 0.4088 0.2714  3 O 1.34-1.41
O1 0.4264 0.5992 0.0853  1 B 1.34
O2 0.5736 0.0992 0.4147  1 B 1.34
O3 0.0736 0.4008 0.5853  1 B 1.34
O4 0.9264 0.9008 0.9147  1 B 1.34
O5 0.5736 0.4008 0.9147  1 B 1.34
O6 0.4264 0.9008 0.5853  1 B 1.34
O7 0.9264 0.5992 0.4147  1 B 1.34
O8 0.0736 0.0992 0.0853  1 B 1.34
O9 0.3106 0.8256 0.1793  2 B 1.41-1.42
O10 0.6894 0.3256 0.3207  2 B 1.41-1.42
O11 0.1894 0.1744 0.6793  2 B 1.41-1.42
O12 0.8106 0.6744 0.8207  2 B 1.41-1.42
O13 0.6894 0.1744 0.8207  2 B 1.41-1.42
O14 0.3106 0.6744 0.6793  2 B 1.41-1.42
O15 0.8106 0.8256 0.3207  2 B 1.41-1.42
O16 0.1894 0.3256 0.1793  2 B 1.41-1.42
O17 0.2945 0.5687 0.2596  2 B 1.39-1.40
O18 0.7055 0.0687 0.2404  2 B 1.39-1.40
O19 0.2055 0.4313 0.7596  2 B 1.39-1.40
O20 0.7945 0.9313 0.7404  2 B 1.39-1.40
O21 0.7055 0.4313 0.7404  2 B 1.39-1.40
O22 0.2945 0.9313 0.7596  2 B 1.39-1.40
O23 0.7945 0.5687 0.2404  2 B 1.39-1.40
O24 0.2055 0.0687 0.2596  2 B 1.39-1.40
O25 0.2721 0.8550 0.3702  1 B 1.34
O26 0.7279 0.3550 0.1298  1 B 1.34
O27 0.2279 0.1450 0.8702  1 B 1.34
O28 0.7721 0.6450 0.6298  1 B 1.34
O29 0.7279 0.1450 0.6298  1 B 1.34
O30 0.2721 0.6450 0.8702  1 B 1.34
O31 0.7721 0.8550 0.1298  1 B 1.34
O32 0.2279 0.3550 0.3702  1 B 1.34
F1 0.0648 0.6349 0.0478  1 Ce 2.35, 1 B 2.60
F2 0.9352 0.1349 0.4522  1 Ce 2.35, 1 B 2.60
F3 0.4352 0.3651 0.5478  1 Ce 2.35, 1 B 2.60
F4 0.5648 0.8651 0.9522  1 Ce 2.35, 1 B 2.60
F5 0.9352 0.3651 0.9522  1 Ce 2.35, 1 B 2.60
F6 0.0648 0.8651 0.5478  1 Ce 2.35, 1 B 2.60
F7 0.5648 0.6349 0.4522  1 Ce 2.35, 1 B 2.60
F8 0.4352 0.1349 0.0478  1 Ce 2.35, 1 B 2.60

=====

Density functional theory data (PBE) for an optimized crystal structure of MgI8O12F24.

Summary:
Excess energy over the best structure of this formula in the dataset ... 0 meV per atom
M_tot ... 0.0000 μB per atom
Final energy ... -170.36 eV for the cell shown
Formation energy from the elements ... -6809 kJ/mol of formula units

Cell lengths 9.1903, 9.5468, 10.0478 Å; angles 114.51, 88.75, 91.18 degrees
Closest atoms and distances in Å follow each position.
Element x y z (fractional)
Mg1 0.5793 0.9465 0.1342  3 F 1.92-2.05
I1 0.7311 0.5584 0.9016  1 O 1.75, 2 F 1.88-1.91
I2 0.2291 0.9196 0.0693  2 O 1.77-1.85
I3 0.2714 0.4254 0.0670  1 O 1.76, 2 F 1.90
I4 0.7755 0.0905 0.9601  2 O 1.81-2.01, 2 F 1.95-2.01
I5 0.5901 0.6678 0.3014  2 O 1.81-1.84, 4 F 1.87-1.88
I6 0.0628 0.8435 0.6987  2 O 1.81-1.85, 4 F 1.88
I7 0.4146 0.3327 0.6802  2 O 1.83-1.84, 4 F 1.87
I8 0.9130 0.1609 0.3228  3 F 1.89-1.96, 1 O 2.01
O1 0.5370 0.5012 0.7594  1 I 1.84
O2 0.0751 0.9659 0.2016  1 I 1.85
O3 0.4862 0.4921 0.2043  1 I 1.81
O4 0.9609 0.0209 0.8088  1 I 1.85
O5 0.6172 0.7275 0.1498  1 I 1.84
O6 0.1045 0.7850 0.8435  1 I 1.81
O7 0.3803 0.2981 0.8438  1 I 1.83
O8 0.8895 0.2011 0.1432  2 I 2.01
O9 0.2760 0.6013 0.0503  1 I 1.76
O10 0.7656 0.9169 0.9912  1 I 1.81
O11 0.7118 0.3938 0.9371  1 I 1.75
O12 0.2470 0.0914 0.0425  1 I 1.77
F1 0.4260 0.7921 0.3752  1 I 1.88
F2 0.4370 0.3454 0.4998  1 I 1.87
F3 0.0292 0.8811 0.5328  1 I 1.88
F4 0.5790 0.6316 0.4709  1 I 1.87
F5 0.8120 0.3476 0.4194  1 I 1.89
F6 0.9436 0.1739 0.5204  1 I 1.96
F7 0.1635 0.6734 0.5627  1 I 1.88
F8 0.6972 0.8413 0.4234  1 I 1.87
F9 0.6862 0.0695 0.3067  1 Mg 1.92
F10 0.2518 0.4571 0.7087  1 I 1.87
F11 0.2367 0.9552 0.7138  1 I 1.88
F12 0.7680 0.5654 0.2629  1 I 1.87
F13 0.6467 0.9956 0.7934  1 I 1.95
F14 0.1643 0.5007 0.2464  1 I 1.90
F15 0.3788 0.9933 0.2351  1 Mg 2.05, 1 I 2.06
F16 0.8449 0.4706 0.7291  1 I 1.88
F17 0.5919 0.1495 0.0814  1 I 2.01, 1 Mg 2.21
F18 0.0920 0.3535 0.9690  1 I 1.90
F19 0.4543 0.8403 0.9695  1 Mg 1.93
F20 0.9095 0.6273 0.0046  1 I 1.91
F21 0.5667 0.1915 0.6188  1 I 1.87
F22 0.0814 0.2872 0.3575  1 I 1.89
F23 0.2923 0.1666 0.5730  1 I 1.87
F24 0.8932 0.7197 0.6440  1 I 1.88